DFT (PBE) results for a relaxed structure of DyInPt.

Its space group is P-62m, No. 189. For the calculated density, the calculation gives 11.88 g/cm³. As for the formation energy: -0.99 eV/atom.

Cell lengths 7.6941, 7.6941, 3.8652 Å; angles 90.00, 90.00, 120.00 degrees
Positions (direct):
Dy 0.4061 0.4061 0.5000
Dy 0.0000 0.5939 0.5000
Dy 0.5939 0.0000 0.5000
Pt 0.3333 0.6667 0.0000
Pt 0.0000 0.0000 0.5000
Pt 0.6667 0.3333 0.0000
In 0.0000 0.2608 0.0000
In 0.2608 0.0000 0.0000
In 0.7392 0.7392 0.0000